Entry 1:
VASP calculation (GGA+U) on a relaxed structure of CaFe4O6.

Lattice parameters (Å, degrees): 5.372 5.372 15.346 90.00 90.00 146.82
Fractional positions:
Ca 0.155 0.845 0.750
Ca 0.845 0.155 0.250
Fe 0.097 0.903 0.133
Fe 0.097 0.903 0.367
Fe 0.365 0.635 0.044
Fe 0.365 0.635 0.456
Fe 0.635 0.365 0.544
Fe 0.635 0.365 0.956
Fe 0.903 0.097 0.633
Fe 0.903 0.097 0.867
O 0.000 0.000 0.000
O 0.000 0.000 0.500
O 0.177 0.823 0.250
O 0.286 0.714 0.585
O 0.286 0.714 0.915
O 0.466 0.534 0.158
O 0.466 0.534 0.342
O 0.534 0.466 0.658
O 0.534 0.466 0.842
O 0.714 0.286 0.085
O 0.714 0.286 0.415
O 0.823 0.177 0.750

## Properties
The energy of formation comes out at -1892 meV/atom. Its total energy is -146.5 eV for the cell shown. As for the space group: No. 63. As for the crystal system: orthorhombic.

---

Entry 2:
VASP calculation (GGA+U) on a relaxed structure of CaFe18O26.

Lattice parameters (Å, degrees): 5.262 5.998 17.492 90.00 98.07 106.61
Fractional positions:
Ca 0.000 0.000 0.000
Fe 0.123 0.783 0.188
Fe 0.131 0.287 0.189
Fe 0.285 0.575 0.363
Fe 0.290 0.077 0.364
Fe 0.395 0.102 0.554
Fe 0.397 0.603 0.552
Fe 0.410 0.357 0.729
Fe 0.423 0.609 0.905
Fe 0.423 0.859 0.729
Fe 0.459 0.120 0.901
Fe 0.527 0.632 0.099
Fe 0.565 0.146 0.106
Fe 0.704 0.429 0.272
Fe 0.707 0.930 0.274
Fe 0.914 0.483 0.645
Fe 0.915 0.981 0.647
Fe 0.919 0.731 0.812
Fe 0.921 0.235 0.812
O 0.154 0.051 0.753
O 0.160 0.535 0.756
O 0.171 0.797 0.619
O 0.179 0.299 0.620
O 0.182 0.548 0.458
O 0.184 0.050 0.459
O 0.185 0.289 0.910
O 0.185 0.811 0.908
O 0.278 0.831 0.092
O 0.286 0.313 0.090
O 0.429 0.621 0.226
O 0.439 0.104 0.227
O 0.536 0.389 0.362
O 0.536 0.886 0.364
O 0.620 0.410 0.838
O 0.636 0.911 0.845
O 0.643 0.669 0.001
O 0.644 0.153 0.003
O 0.645 0.415 0.556
O 0.646 0.915 0.559
O 0.687 0.186 0.697
O 0.692 0.666 0.697
O 0.821 0.470 0.161
O 0.828 0.949 0.158
O 0.994 0.252 0.297
O 0.998 0.754 0.296

## Properties
The energy of formation comes out at -1575 meV/atom. Its total energy is -295.5 eV for the cell shown. As for the space group: No. 1. As for the crystal system: triclinic.

---

Entry 3:
VASP calculation (GGA+U) on a relaxed structure of CaFeO3.

Lattice parameters (Å, degrees): 5.371 5.503 9.273 90.00 124.22 90.00
Fractional positions:
Ca 0.237 0.049 0.249
Ca 0.237 0.451 0.749
Ca 0.763 0.549 0.251
Ca 0.763 0.951 0.751
Fe 0.000 0.000 0.500
Fe 0.000 0.500 0.000
Fe 0.500 0.000 0.000
Fe 0.500 0.500 0.500
O 0.160 0.211 0.959
O 0.160 0.289 0.459
O 0.245 0.699 0.958
O 0.245 0.801 0.458
O 0.330 0.015 0.755
O 0.330 0.485 0.255
O 0.670 0.515 0.745
O 0.670 0.985 0.245
O 0.755 0.199 0.542
O 0.755 0.301 0.042
O 0.840 0.711 0.541
O 0.840 0.789 0.041

## Properties
The energy of formation comes out at -2224 meV/atom. Its total energy is -128.5 eV for the cell shown. As for the space group: No. 14. As for the crystal system: monoclinic.